# 1
Material: Gd3Ti2MnSi3
Method: DFT, GGA-PBE
State: relaxed

Calculated values
Volume (Å³/f.u.): 182.22
Total magnetic moment (μB/f.u.): 23.458
ΔH_f (0 K) (eV/atom): -0.206
Symmetry: P6_3/mcm
Crystal system: hexagonal

Unit cell a=8.4847 b=8.4847 c=5.8454 alpha=90.00 beta=90.00 gamma=120.00
Fractional positions:
Gd1 0.7135 0.7135 0.2500
Gd2 0.0000 0.7135 0.7500
Gd3 0.2865 0.0000 0.2500
Gd4 0.2865 0.2865 0.7500
Gd5 0.0000 0.2865 0.2500
Gd6 0.7135 0.0000 0.7500
Ti1 0.3333 0.6667 0.5000
Ti2 0.6667 0.3333 0.5000
Ti3 0.3333 0.6667 0.0000
Ti4 0.6667 0.3333 0.0000
Mn1 0.0000 0.0000 0.0000
Mn2 0.0000 0.0000 0.5000
Si1 0.3819 0.3819 0.2500
Si2 0.0000 0.3819 0.7500
Si3 0.6181 0.6181 0.7500
Si4 0.3819 0.0000 0.7500
Si5 0.6181 0.0000 0.2500
Si6 0.0000 0.6181 0.2500

---

# 2
Material: Gd3Te2NO
Method: DFT, GGA-PBE
State: relaxed

Calculated values
Volume (Å³/f.u.): 170.28
Total magnetic moment (μB/f.u.): 7.000
ΔH_f (0 K) (eV/atom): -2.158
Symmetry: Pnma
Crystal system: orthorhombic

Unit cell a=13.5536 b=4.1167 c=12.2075 alpha=90.00 beta=90.00 gamma=90.00
Fractional positions:
Gd1 0.5216 0.2500 0.6213
Gd2 0.0216 0.2500 0.8787
Gd3 0.4784 0.7500 0.3787
Gd4 0.9784 0.7500 0.1213
Gd5 0.6887 0.2500 0.3511
Gd6 0.1887 0.2500 0.1489
Gd7 0.3113 0.7500 0.6489
Gd8 0.8113 0.7500 0.8511
Gd9 0.8950 0.2500 0.6138
Gd10 0.3950 0.2500 0.8862
Gd11 0.1050 0.7500 0.3862
Gd12 0.6050 0.7500 0.1138
Te1 0.7720 0.2500 0.0720
Te2 0.2720 0.2500 0.4280
Te3 0.2280 0.7500 0.9280
Te4 0.7280 0.7500 0.5720
Te5 0.9341 0.2500 0.3477
Te6 0.4341 0.2500 0.1523
Te7 0.0659 0.7500 0.6523
Te8 0.5659 0.7500 0.8477
N1 0.8697 0.2500 0.7889
N2 0.3697 0.2500 0.7111
N3 0.1303 0.7500 0.2111
N4 0.6303 0.7500 0.2889
O1 0.5405 0.2500 0.4330
O2 0.0405 0.2500 0.0670
O3 0.4595 0.7500 0.5670
O4 0.9595 0.7500 0.9330

---

# 3
Material: Gd3S3N
Method: DFT, GGA-PBE
State: relaxed

Calculated values
Volume (Å³/f.u.): 150.90
ΔH_f (0 K) (eV/atom): -2.246
Symmetry: Pnma
Crystal system: orthorhombic

Unit cell a=3.8913 b=12.0158 c=12.9090 alpha=90.00 beta=90.00 gamma=90.00
Fractional positions:
Gd1 0.7500 0.2168 0.6379
Gd2 0.2500 0.9549 0.6445
Gd3 0.2500 0.4549 0.8555
Gd4 0.7500 0.5731 0.6297
Gd5 0.2500 0.7832 0.3621
Gd6 0.2500 0.2832 0.1379
Gd7 0.7500 0.0451 0.3555
Gd8 0.7500 0.7168 0.8621
Gd9 0.7500 0.5451 0.1445
Gd10 0.2500 0.9269 0.1297
Gd11 0.7500 0.0731 0.8703
Gd12 0.2500 0.4269 0.3703
S1 0.2500 0.6353 0.9934
S2 0.2500 0.7270 0.6940
S3 0.7500 0.8647 0.4934
S4 0.2500 0.2270 0.8060
S5 0.2500 0.9104 0.8986
S6 0.7500 0.7730 0.1940
S7 0.2500 0.1353 0.5066
S8 0.7500 0.2730 0.3060
S9 0.7500 0.3647 0.0066
S10 0.7500 0.5896 0.3986
S11 0.7500 0.0896 0.1014
S12 0.2500 0.4104 0.6014
N1 0.2500 0.4599 0.2022
N2 0.2500 0.9599 0.2978
N3 0.7500 0.5401 0.7978
N4 0.7500 0.0401 0.7022

---

# 4
Material: Na3GdTi2Nb2O12
Method: DFT, GGA-PBE
State: relaxed

Calculated values
Volume (Å³/f.u.): 238.13
Energy above the most stable polymorph in this dataset (eV/atom): 0.005
ΔH_f (0 K) (eV/atom): -3.126
Symmetry: P1
Crystal system: triclinic

Unit cell a=5.4655 b=5.5877 c=7.7977 alpha=89.89 beta=89.97 gamma=89.51
Fractional positions:
Na1 0.4927 0.5254 0.7485
Na2 0.0036 0.0182 0.7498
Na3 0.5073 0.4666 0.2502
Gd1 0.9922 0.9423 0.2502
Ti1 0.4921 0.9834 0.0067
Ti2 0.0050 0.4787 0.4944
Nb1 0.4953 0.9924 0.5129
Nb2 0.0044 0.4796 0.9871
O1 0.5674 0.9851 0.7533
O2 0.9220 0.4902 0.7470
O3 0.4106 0.0258 0.2467
O4 0.0735 0.5266 0.2530
O5 0.2066 0.8020 0.9758
O6 0.2885 0.2990 0.5359
O7 0.8000 0.2137 0.4512
O8 0.7195 0.7338 0.0497
O9 0.7971 0.2111 0.0494
O10 0.7233 0.7315 0.4509
O11 0.2042 0.7994 0.5255
O12 0.2946 0.2951 0.9619

---

# 5
Material: Na3GdTi2Nb2O12
Method: DFT, GGA-PBE
State: relaxed

Calculated values
Volume (Å³/f.u.): 239.80
Energy above the most stable polymorph in this dataset (eV/atom): 0.000
Total magnetic moment (μB/f.u.): 7.004
ΔH_f (0 K) (eV/atom): -3.131
Symmetry: P1
Crystal system: triclinic

Unit cell a=5.4839 b=5.6077 c=15.5957 alpha=90.01 beta=90.02 gamma=90.02
Fractional positions:
Na1 0.0038 0.9766 0.3722
Na2 0.0035 0.9767 0.8779
Na3 0.4960 0.4766 0.8781
Na4 0.4964 0.4768 0.3719
Na5 0.5053 0.5261 0.6250
Na6 0.9950 0.0261 0.6250
Gd1 0.5085 0.5543 0.1251
Gd2 0.9911 0.0547 0.1250
Ti1 0.0095 0.5227 0.9979
Ti2 0.4897 0.0224 0.9977
Ti3 0.4898 0.0223 0.2522
Ti4 0.0094 0.5225 0.2523
Nb1 0.0012 0.4973 0.4980
Nb2 0.4998 0.9964 0.7522
Nb3 0.5020 0.9979 0.4980
Nb4 0.9983 0.4968 0.7522
O1 0.0861 0.4659 0.1249
O2 0.0692 0.4867 0.6250
O3 0.2090 0.2125 0.4803
O4 0.2056 0.1958 0.2600
O5 0.2102 0.2132 0.7697
O6 0.2056 0.1958 0.9899
O7 0.2898 0.7128 0.4802
O8 0.2908 0.7130 0.7698
O9 0.2946 0.6958 0.2599
O10 0.2945 0.6958 0.9900
O11 0.4142 0.9662 0.1250
O12 0.4309 0.9866 0.6250
O13 0.5678 0.0135 0.8792
O14 0.5675 0.0134 0.3708
O15 0.7097 0.2738 0.0296
O16 0.7098 0.2739 0.2204
O17 0.7081 0.2911 0.5159
O18 0.7090 0.2913 0.7340
O19 0.7905 0.7738 0.0296
O20 0.7904 0.7736 0.2203
O21 0.7908 0.7909 0.5160
O22 0.7918 0.7914 0.7340
O23 0.9323 0.5135 0.3708
O24 0.9325 0.5136 0.8791

---

# 6
Material: Na8Gd2O7
Method: DFT, GGA-PBE
State: relaxed

Calculated values
Volume (Å³/f.u.): 279.87
Total magnetic moment (μB/f.u.): 14.001
ΔH_f (0 K) (eV/atom): -2.126
Symmetry: P2_1/c
Crystal system: monoclinic

Unit cell a=11.7000 b=9.2287 c=10.9242 alpha=71.64 beta=90.00 gamma=90.00
Fractional positions:
Na1 0.5231 0.8710 0.9338
Na2 0.5319 0.9139 0.6387
Na3 0.2650 0.8929 0.5343
Na4 0.9769 0.8710 0.4338
Na5 0.0490 0.7484 0.7011
Na6 0.9681 0.9139 0.1387
Na7 0.7422 0.7163 0.5719
Na8 0.2350 0.8929 0.0343
Na9 0.5322 0.5576 0.8446
Na10 0.4964 0.6581 0.5215
Na11 0.4510 0.7484 0.2011
Na12 0.7717 0.5015 0.8726
Na13 0.7578 0.7163 0.0719
Na14 0.2717 0.4985 0.6274
Na15 0.9678 0.5576 0.3446
Na16 0.9964 0.3419 0.9785
Na17 0.0036 0.6581 0.0215
Na18 0.0322 0.4424 0.6554
Na19 0.7283 0.5015 0.3726
Na20 0.2422 0.2837 0.9281
Na21 0.2283 0.4985 0.1274
Na22 0.5490 0.2516 0.7989
Na23 0.5036 0.3419 0.4785
Na24 0.4678 0.4424 0.1554
Na25 0.7650 0.1071 0.9657
Na26 0.2578 0.2837 0.4281
Na27 0.0319 0.0861 0.8613
Na28 0.9510 0.2516 0.2989
Na29 0.0231 0.1290 0.5662
Na30 0.7350 0.1071 0.4657
Na31 0.4681 0.0861 0.3613
Na32 0.4769 0.1290 0.0662
Gd1 0.7930 0.9037 0.7773
Gd2 0.7070 0.9037 0.2773
Gd3 0.2797 0.6828 0.8527
Gd4 0.2203 0.6828 0.3527
Gd5 0.7797 0.3172 0.6473
Gd6 0.7203 0.3172 0.1473
Gd7 0.2930 0.0963 0.7227
Gd8 0.2070 0.0963 0.2227
O1 0.8890 0.8992 0.9497
O2 0.1794 0.8946 0.7813
O3 0.8896 0.8914 0.6121
O4 0.6110 0.8992 0.4497
O5 0.6682 0.7285 0.8266
O6 0.3206 0.8946 0.2813
O7 0.6104 0.8914 0.1121
O8 0.3853 0.6679 0.6944
O9 0.8318 0.7285 0.3266
O10 0.1435 0.5186 0.9106
O11 0.1167 0.6755 0.5220
O12 0.1147 0.6679 0.1944
O13 0.3565 0.5186 0.4106
O14 0.6167 0.3245 0.9780
O15 0.3833 0.6755 0.0220
O16 0.6435 0.4814 0.5894
O17 0.8853 0.3321 0.8056
O18 0.8833 0.3245 0.4780
O19 0.8565 0.4814 0.0894
O20 0.1682 0.2715 0.6734
O21 0.6147 0.3321 0.3056
O22 0.3896 0.1086 0.8879
O23 0.6794 0.1054 0.7187
O24 0.3318 0.2715 0.1734
O25 0.3890 0.1008 0.5503
O26 0.1104 0.1086 0.3879
O27 0.8206 0.1054 0.2187
O28 0.1110 0.1008 0.0503

---

# 7
Material: NaGdP4O12
Method: DFT, GGA-PBE
State: relaxed

Calculated values
Volume (Å³/f.u.): 238.79
Total magnetic moment (μB/f.u.): 7.002
ΔH_f (0 K) (eV/atom): -2.897
Symmetry: P2_1/c
Crystal system: monoclinic

Unit cell a=13.2407 b=7.2837 c=12.2532 alpha=53.93 beta=90.00 gamma=90.00
Fractional positions:
Na1 0.7215 0.9358 0.0631
Na2 0.2215 0.0642 0.4369
Na3 0.7785 0.9358 0.5631
Na4 0.2785 0.0642 0.9369
Gd1 0.2195 0.4643 0.5229
Gd2 0.7805 0.5357 0.4771
Gd3 0.2805 0.4643 0.0229
Gd4 0.7195 0.5357 0.9771
P1 0.8980 0.0062 0.7439
P2 0.1020 0.9938 0.2561
P3 0.3980 0.9938 0.7561
P4 0.1145 0.8867 0.7364
P5 0.8724 0.3427 0.8037
P6 0.3724 0.6573 0.6963
P7 0.6276 0.3427 0.3037
P8 0.4086 0.4328 0.2991
P9 0.1276 0.6573 0.1963
P10 0.5914 0.5672 0.7009
P11 0.9086 0.5672 0.2009
P12 0.6020 0.0062 0.2439
P13 0.3855 0.8867 0.2364
P14 0.0914 0.4328 0.7991
P15 0.6145 0.1133 0.7636
P16 0.8855 0.1133 0.2636
O1 0.2087 0.6749 0.1048
O2 0.6469 0.9028 0.8970
O3 0.6661 0.7981 0.2969
O4 0.6619 0.6543 0.5840
O5 0.8754 0.0944 0.8347
O6 0.3123 0.7805 0.3514
O7 0.9873 0.0743 0.2098
O8 0.7913 0.3251 0.8952
O9 0.3531 0.0972 0.1030
O10 0.8531 0.9028 0.3970
O11 0.0808 0.7063 0.7073
O12 0.5808 0.2937 0.7927
O13 0.2913 0.6749 0.6048
O14 0.6099 0.1922 0.0949
O15 0.1099 0.8078 0.4051
O16 0.3381 0.3457 0.4160
O17 0.1619 0.3457 0.9160
O18 0.3876 0.3680 0.2054
O19 0.7087 0.3251 0.3952
O20 0.1469 0.0972 0.6030
O21 0.4873 0.9257 0.2902
O22 0.8901 0.1922 0.5949
O23 0.3901 0.8078 0.9051
O24 0.8123 0.2195 0.1486
O25 0.5207 0.3529 0.3630
O26 0.4192 0.7063 0.2073
O27 0.6877 0.2195 0.6486
O28 0.1339 0.4772 0.3457
O29 0.3661 0.4772 0.8457
O30 0.3754 0.9056 0.6653
O31 0.1246 0.9056 0.1653
O32 0.6339 0.5228 0.1543
O33 0.3339 0.2019 0.7031
O34 0.1877 0.7805 0.8514
O35 0.1124 0.3680 0.7054
O36 0.9793 0.3529 0.8630
O37 0.4793 0.6471 0.6370
O38 0.8339 0.7981 0.7969
O39 0.6124 0.6320 0.7946
O40 0.5127 0.0743 0.7098
O41 0.1661 0.2019 0.2031
O42 0.6246 0.0944 0.3347
O43 0.8661 0.5228 0.6543
O44 0.9192 0.2937 0.2927
O45 0.8381 0.6543 0.0840
O46 0.0127 0.9257 0.7902
O47 0.8876 0.6320 0.2946
O48 0.0207 0.6471 0.1370

---

# 8
Material: NaGd3Ti2Sb2O14
Method: DFT, GGA-PBE
State: relaxed

Calculated values
Volume (Å³/f.u.): 280.19
Energy above the most stable polymorph in this dataset (eV/atom): 0.004
Total magnetic moment (μB/f.u.): 21.012
ΔH_f (0 K) (eV/atom): -3.120
Symmetry: C2/m
Crystal system: monoclinic

Unit cell a=7.3169 b=7.3169 c=7.2771 alpha=60.69 beta=60.69 gamma=60.89
Fractional positions:
Na1 0.0000 0.0000 0.0000
Gd1 0.0000 0.0000 0.5000
Gd2 0.5000 0.0000 0.0000
Gd3 0.0000 0.5000 0.0000
Ti1 0.5000 0.5000 0.5000
Ti2 0.5000 0.5000 0.0000
Sb1 0.0000 0.5000 0.5000
Sb2 0.5000 0.0000 0.5000
O1 0.8681 0.8681 0.8708
O2 0.1319 0.1319 0.1292
O3 0.5709 0.5709 0.1818
O4 0.1714 0.1714 0.5720
O5 0.1759 0.5771 0.5770
O6 0.5629 0.1786 0.1775
O7 0.1786 0.5629 0.1775
O8 0.5771 0.1759 0.5770
O9 0.4291 0.4291 0.8182
O10 0.8286 0.8286 0.4280
O11 0.8241 0.4229 0.4230
O12 0.4371 0.8214 0.8225
O13 0.8214 0.4371 0.8225
O14 0.4229 0.8241 0.4230

---

# 9
Material: NaGd3Ti2Sb2O14
Method: DFT, GGA-PBE
State: relaxed

Calculated values
Volume (Å³/f.u.): 279.60
Energy above the most stable polymorph in this dataset (eV/atom): 0.000
Total magnetic moment (μB/f.u.): 21.001
ΔH_f (0 K) (eV/atom): -3.124
Symmetry: P2/c
Crystal system: monoclinic

Unit cell a=7.3240 b=7.3568 c=12.6780 alpha=54.95 beta=90.00 gamma=90.00
Fractional positions:
Na1 0.5000 0.5000 0.5000
Na2 0.5000 0.5000 0.0000
Gd1 0.2670 0.0000 0.7500
Gd2 0.7330 0.0000 0.2500
Gd3 0.2547 0.5000 0.7500
Gd4 0.7453 0.5000 0.2500
Gd5 0.0000 0.5000 0.0000
Gd6 0.0000 0.5000 0.5000
Ti1 0.0000 0.0000 0.0000
Ti2 0.0000 0.0000 0.5000
Ti3 0.2392 0.0000 0.2500
Ti4 0.7608 0.0000 0.7500
Sb1 0.2459 0.5000 0.2500
Sb2 0.5000 0.0000 0.5000
Sb3 0.7541 0.5000 0.7500
Sb4 0.5000 0.0000 0.0000
O1 0.2398 0.6327 0.8688
O2 0.0535 0.0733 0.1223
O3 0.2323 0.6783 0.3223
O4 0.7602 0.6327 0.3688
O5 0.2493 0.0766 0.9231
O6 0.0455 0.6762 0.1226
O7 0.5503 0.0572 0.6322
O8 0.0455 0.3238 0.3774
O9 0.9465 0.0733 0.6223
O10 0.2493 0.9234 0.5769
O11 0.7507 0.0766 0.4231
O12 0.7677 0.6783 0.8223
O13 0.0535 0.9267 0.3777
O14 0.9545 0.6762 0.6226
O15 0.5448 0.6706 0.6286
O16 0.9545 0.3238 0.8774
O17 0.5448 0.3294 0.8714
O18 0.4497 0.0572 0.1322
O19 0.7677 0.3217 0.6777
O20 0.7507 0.9234 0.0769
O21 0.9465 0.9267 0.8777
O22 0.4552 0.6706 0.1286
O23 0.5503 0.9428 0.8678
O24 0.4552 0.3294 0.3714
O25 0.7602 0.3673 0.1312
O26 0.2323 0.3217 0.1777
O27 0.4497 0.9428 0.3678
O28 0.2398 0.3673 0.6312

---

# 10
Material: NaSrGdSeO6
Method: DFT, GGA-PBE
State: relaxed

Calculated values
Volume (Å³/f.u.): 133.31
Total magnetic moment (μB/f.u.): 7.000
ΔH_f (0 K) (eV/atom): -2.406
Symmetry: F-43m
Crystal system: cubic

Unit cell a=5.7340 b=5.7340 c=5.7340 alpha=60.00 beta=60.00 gamma=60.00
Fractional positions:
Na1 0.2500 0.2500 0.2500
Sr1 0.7500 0.7500 0.7500
Gd1 0.0000 0.0000 0.0000
Se1 0.5000 0.5000 0.5000
O1 0.7248 0.2752 0.2752
O2 0.2752 0.7248 0.7248
O3 0.7248 0.2752 0.7248
O4 0.2752 0.7248 0.2752
O5 0.7248 0.7248 0.2752
O6 0.2752 0.2752 0.7248

---

So what do the calculations give for VASP energy? Going down the list: -9.5025, -10.8886, -10.9749, -8.3846, -8.3898, -6.1587, -7.7961, -8.9042, -8.9080, -7.0205 eV/atom.